Version one
! CrCdO4 (PBE+U, optimized geometry); values from VASP
&SYSTEM
  ibrav = 0, nat = 24, ntyp = 3
/
ATOMIC_SPECIES
Cr 52.00 Cr.upf
Cd 112.41 Cd.upf
O 16.00 O.upf
CELL_PARAMETERS angstrom
4.9353 5.2940 0.0000
-4.9353 5.2940 0.0000
0.0000 1.4439 7.0488
ATOMIC_POSITIONS angstrom
Cr 0.0000 8.2930 2.9455
Cr 0.0000 3.7390 4.1034
Cr 2.4117 5.2940 0.0000
Cr -2.4117 5.2940 0.0000
Cd 0.0000 2.4114 0.8821
Cd 0.0000 9.6206 6.1668
Cd 3.0877 6.0160 3.5244
Cd -3.0877 6.0160 3.5244
O -1.3577 4.5493 3.6765
O -1.3577 7.4826 3.3724
O 1.3577 7.4826 3.3724
O 1.3577 4.5493 3.6765
O -3.3605 6.0175 5.8387
O -3.3605 6.0144 1.2101
O 3.3605 6.0144 1.2101
O 3.3605 6.0175 5.8387
O 0.0000 9.8226 3.8025
O 0.0000 2.2094 3.2463
O 0.0000 3.4553 5.7163
O 0.0000 8.5766 1.3325
O -1.4897 7.8966 6.3534
O -1.4897 4.1353 0.6954
O 1.4897 4.1353 0.6954
O 1.4897 7.8966 6.3534
! - Space group: C2/m, No. 12

---

Version two
! CrCdO4 (PBE+U, optimized geometry); values from VASP
&SYSTEM
  ibrav = 0, nat = 12, ntyp = 3
/
ATOMIC_SPECIES
Cr 52.00 Cr.upf
Cd 112.41 Cd.upf
O 16.00 O.upf
CELL_PARAMETERS angstrom
-1.7670 -0.9569 -4.9252
-1.3120 -3.7103 3.5788
-5.9973 3.5337 1.4650
ATOMIC_POSITIONS angstrom
Cr -3.1038 -1.0567 -1.5222
Cr -5.9724 -0.0768 1.6408
Cd -2.9986 1.7669 0.7325
Cd 0.0000 0.0000 0.0000
O -6.7717 -0.9151 0.3908
O -2.3045 -0.2184 -0.2722
O -3.8045 -2.4921 -0.9281
O -5.2717 1.3586 1.0468
O -7.0556 0.3005 2.8103
O -4.2826 -0.1011 -2.1391
O -2.0206 -1.4340 -2.6916
O -4.7936 -1.0324 2.2577
! - Space group: Cmcm, No. 63

---

Of them, the most stable is version two and the least stable is version one.

---

Version one
! Mg6CdFeO8 (PBE+U, optimized geometry); values from VASP
&SYSTEM
  ibrav = 0, nat = 16, ntyp = 4
/
ATOMIC_SPECIES
Mg 24.30 Mg.upf
Cd 112.41 Cd.upf
Fe 55.84 Fe.upf
O 16.00 O.upf
CELL_PARAMETERS angstrom
8.7058 0.0000 0.0000
0.0000 4.3911 0.0000
0.0000 0.0000 4.3911
ATOMIC_POSITIONS angstrom
Mg 0.0000 2.1956 2.1956
Mg 4.3529 2.1956 2.1956
Mg 2.1233 0.0000 2.1956
Mg 6.5824 0.0000 2.1956
Mg 2.1233 2.1956 0.0000
Mg 6.5824 2.1956 0.0000
Cd 4.3529 0.0000 0.0000
Fe 0.0000 0.0000 0.0000
O 2.0517 0.0000 0.0000
O 6.6541 0.0000 0.0000
O 2.1813 2.1956 2.1956
O 6.5245 2.1956 2.1956
O 0.0000 0.0000 2.1956
O 4.3529 0.0000 2.1956
O 0.0000 2.1956 0.0000
O 4.3529 2.1956 0.0000
! - Space group: P4/mmm, No. 123

---

Version two
! Mg6CdFeO8 (PBE+U, optimized geometry); values from VASP
&SYSTEM
  ibrav = 0, nat = 16, ntyp = 4
/
ATOMIC_SPECIES
Mg 24.30 Mg.upf
Cd 112.41 Cd.upf
Fe 55.84 Fe.upf
O 16.00 O.upf
CELL_PARAMETERS angstrom
-5.6275 3.6583 5.6123
-2.4710 -3.5934 -0.1354
2.2484 -1.6721 3.3444
ATOMIC_POSITIONS angstrom
Mg -2.8137 1.8291 2.8061
Mg -2.9250 -0.8036 4.4107
Mg -0.3246 0.1058 3.1171
Mg -3.0544 1.8804 5.8396
Mg -2.6843 -0.8549 1.3772
Mg -5.4141 0.9197 4.0997
Cd -0.1113 -2.6328 1.6045
Fe 0.0000 0.0000 0.0000
O -1.4417 0.9372 1.4378
O -4.1858 2.7211 4.1745
O -1.6109 -1.6579 3.1001
O -4.2391 0.0506 5.7212
O 1.1242 -0.8360 1.6722
O -1.6895 0.9931 4.4784
O -1.2355 -1.7967 -0.0677
O -4.0492 0.0324 2.7385
! - Space group: P4/mmm, No. 123

---

Of them, the most stable is version one and the least stable is version two.